Record 1
# MgMo2Br4O4 (PBE+U, relaxed)
# Energy of formation from the pure elements (eV per formula unit): -15.53
# E_tot (eV/atom): -5.09
data_MgMo2Br4O4
_chemical_formula_sum 'Mg1 Mo2 Br4 O4'
_symmetry_space_group_name_H-M 'P 1'
_symmetry_Int_Tables_number 1
_cell_length_a 3.862
_cell_length_b 7.902
_cell_length_c 8.791
_cell_angle_alpha 76.12
_cell_angle_beta 77.33
_cell_angle_gamma 89.94
loop_
_symmetry_equiv_pos_as_xyz
'x,y,z'
loop_
_atom_site_label
_atom_site_type_symbol
_atom_site_fract_x
_atom_site_fract_y
_atom_site_fract_z
Mg1 Mg 0.000 0.000 0.000
Mo1 Mo 0.583 0.780 0.832
Mo2 Mo 0.591 0.296 0.818
Br1 Br 0.418 0.717 0.153
Br2 Br 0.433 0.186 0.148
Br3 Br 0.728 0.859 0.534
Br4 Br 0.740 0.350 0.524
O1 O 0.074 0.788 0.851
O2 O 0.083 0.264 0.834
O3 O 0.569 0.032 0.862
O4 O 0.586 0.522 0.827

***

Record 2
# Mn4SiTeBr2O7 (PBE+U, relaxed)
# Energy of formation from the pure elements (eV per formula unit): -30.18
# E_tot (eV/atom): -6.79
data_Mn4SiTeBr2O7
_chemical_formula_sum 'Mn8 Si2 Te2 Br4 O14'
_symmetry_space_group_name_H-M 'P -1'
_symmetry_Int_Tables_number 2
_cell_length_a 5.592
_cell_length_b 6.575
_cell_length_c 13.194
_cell_angle_alpha 90.06
_cell_angle_beta 93.32
_cell_angle_gamma 90.12
loop_
_symmetry_equiv_pos_as_xyz
'x,y,z'
'-x,-y,-z'
loop_
_atom_site_label
_atom_site_type_symbol
_atom_site_fract_x
_atom_site_fract_y
_atom_site_fract_z
Mn1 Mn 0.041 0.250 0.324
Mn2 Mn 0.149 0.251 0.837
Mn3 Mn 0.354 0.005 0.133
Mn4 Mn 0.354 0.497 0.132
Si1 Si 0.156 0.750 0.939
Te1 Te 0.294 0.751 0.343
Br1 Br 0.149 0.250 0.518
Br2 Br 0.427 0.750 0.679
O1 O 0.103 0.547 0.271
O2 O 0.103 0.953 0.271
O3 O 0.121 0.251 0.112
O4 O 0.154 0.751 0.065
O5 O 0.294 0.539 0.909
O6 O 0.294 0.962 0.908
O7 O 0.492 0.249 0.767

***

Record 3
# MnZnBr4O6 (PBE+U, relaxed)
# Energy of formation from the pure elements (eV per formula unit): -2.98
# E_tot (eV/atom): -3.65
data_MnZnBr4O6
_chemical_formula_sum 'Mn4 Zn4 Br16 O24'
_symmetry_space_group_name_H-M 'P b a m'
_symmetry_Int_Tables_number 55
_cell_length_a 13.964
_cell_length_b 14.109
_cell_length_c 5.451
_cell_angle_alpha 90.00
_cell_angle_beta 90.00
_cell_angle_gamma 90.00
loop_
_symmetry_equiv_pos_as_xyz
'x,y,z'
'-x,-y,-z'
'-x,-y,z'
'x,y,-z'
'x+1/2,-y+1/2,-z'
'-x+1/2,y+1/2,z'
'-x+1/2,y+1/2,-z'
'x+1/2,-y+1/2,z'
loop_
_atom_site_label
_atom_site_type_symbol
_atom_site_fract_x
_atom_site_fract_y
_atom_site_fract_z
Mn1 Mn 0.000 0.000 0.000
Mn2 Mn 0.000 0.500 0.000
Zn1 Zn 0.195 0.200 0.500
Br1 Br 0.043 0.144 0.500
Br2 Br 0.116 0.429 0.500
Br3 Br 0.182 0.758 0.243
O1 O 0.041 0.405 0.250
O2 O 0.047 0.126 0.000
O3 O 0.108 0.555 0.000
O4 O 0.112 0.986 0.192

***

Record 4
# MnZnBr4O6 (PBE+U, relaxed)
# Energy of formation from the pure elements (eV per formula unit): -4.63
# E_tot (eV/atom): -3.79
data_MnZnBr4O6
_chemical_formula_sum 'Mn4 Zn4 Br16 O24'
_symmetry_space_group_name_H-M 'P b a m'
_symmetry_Int_Tables_number 55
_cell_length_a 9.866
_cell_length_b 14.669
_cell_length_c 10.690
_cell_angle_alpha 90.00
_cell_angle_beta 90.00
_cell_angle_gamma 90.00
loop_
_symmetry_equiv_pos_as_xyz
'x,y,z'
'-x,-y,-z'
'-x,-y,z'
'x,y,-z'
'x+1/2,-y+1/2,-z'
'-x+1/2,y+1/2,z'
'-x+1/2,y+1/2,-z'
'x+1/2,-y+1/2,z'
loop_
_atom_site_label
_atom_site_type_symbol
_atom_site_fract_x
_atom_site_fract_y
_atom_site_fract_z
Mn1 Mn 0.000 0.000 0.000
Mn2 Mn 0.000 0.500 0.000
Zn1 Zn 0.157 0.173 0.500
Br1 Br 0.057 0.309 0.500
Br2 Br 0.235 0.031 0.500
Br3 Br 0.241 0.396 0.156
O1 O 0.013 0.615 0.000
O2 O 0.089 0.923 0.146
O3 O 0.128 0.076 0.000
O4 O 0.141 0.492 0.149

***

Record 5
# MoBr2O2 (PBE+U, relaxed)
# Energy of formation from the pure elements (eV per formula unit): -5.90
# E_tot (eV/atom): -5.07
data_MoBr2O2
_chemical_formula_sum 'Mo4 Br8 O8'
_symmetry_space_group_name_H-M 'C 1 c 1'
_symmetry_Int_Tables_number 9
_cell_length_a 16.097
_cell_length_b 3.993
_cell_length_c 7.802
_cell_angle_alpha 90.00
_cell_angle_beta 103.88
_cell_angle_gamma 90.00
loop_
_symmetry_equiv_pos_as_xyz
'x,y,z'
'x,-y,z+1/2'
'x+1/2,y+1/2,z'
'x+1/2,-y+1/2,z+1/2'
loop_
_atom_site_label
_atom_site_type_symbol
_atom_site_fract_x
_atom_site_fract_y
_atom_site_fract_z
Mo1 Mo 0.000 0.061 0.000
Br1 Br 0.156 0.026 0.535
Br2 Br 0.344 0.474 0.881
O1 O 0.000 0.012 0.227
O2 O 0.000 0.499 0.983

***

Record 6
# Mo2P3Pb2BrO15 (PBE+U, relaxed)
# Energy of formation from the pure elements (eV per formula unit): -46.04
# E_tot (eV/atom): -6.55
data_Mo2P3Pb2BrO15
_chemical_formula_sum 'Mo32 P48 Pb32 Br16 O240'
_symmetry_space_group_name_H-M 'F d d 2'
_symmetry_Int_Tables_number 43
_symmetry_space_group_name_Hall 'F 2 -2d'
_cell_length_a 13.215
_cell_length_b 33.236
_cell_length_c 13.088
_cell_angle_alpha 90.00
_cell_angle_beta 90.00
_cell_angle_gamma 90.00
loop_
_atom_site_label
_atom_site_type_symbol
_atom_site_fract_x
_atom_site_fract_y
_atom_site_fract_z
Mo1 Mo 0.002 0.395 0.000
Mo2 Mo 0.004 0.397 0.501
P1 P 0.000 0.000 0.075
P2 P 0.000 0.000 0.572
P3 P 0.003 0.375 0.751
P4 P 0.004 0.380 0.251
Pb1 Pb 0.000 0.000 0.320
Pb2 Pb 0.000 0.000 0.817
Pb3 Pb 0.001 0.219 0.833
Br1 Br 0.001 0.247 0.116
O1 O 0.000 0.155 0.503
O2 O 0.001 0.090 0.843
O3 O 0.001 0.210 0.344
O4 O 0.002 0.095 0.343
O5 O 0.003 0.346 0.486
O6 O 0.006 0.037 0.002
O7 O 0.008 0.402 0.655
O8 O 0.010 0.463 0.998
O9 O 0.011 0.406 0.155
O10 O 0.090 0.149 0.748
O11 O 0.092 0.002 0.644
O12 O 0.092 0.152 0.247
O13 O 0.093 0.499 0.647
O14 O 0.095 0.351 0.260
O15 O 0.097 0.348 0.757

***

Record 7
# PrMoBrO4 (PBE+U, relaxed)
# Energy of formation from the pure elements (eV per formula unit): -17.55
# E_tot (eV/atom): -6.95
data_PrMoBrO4
_chemical_formula_sum 'Pr4 Mo4 Br4 O16'
_symmetry_space_group_name_H-M 'P -1'
_symmetry_Int_Tables_number 2
_cell_length_a 7.086
_cell_length_b 7.565
_cell_length_c 11.390
_cell_angle_alpha 106.12
_cell_angle_beta 106.64
_cell_angle_gamma 92.44
loop_
_symmetry_equiv_pos_as_xyz
'x,y,z'
'-x,-y,-z'
loop_
_atom_site_label
_atom_site_type_symbol
_atom_site_fract_x
_atom_site_fract_y
_atom_site_fract_z
Pr1 Pr 0.105 0.354 0.231
Pr2 Pr 0.147 0.128 0.730
Mo1 Mo 0.232 0.818 0.134
Mo2 Mo 0.276 0.594 0.631
Br1 Br 0.243 0.034 0.481
Br2 Br 0.307 0.289 0.020
O1 O 0.106 0.019 0.178
O2 O 0.122 0.661 0.200
O3 O 0.163 0.796 0.697
O4 O 0.174 0.731 0.964
O5 O 0.182 0.513 0.460
O6 O 0.197 0.431 0.703
O7 O 0.461 0.361 0.323
O8 O 0.494 0.867 0.206

***

Record 8
# PuMoBrO5 (PBE+U, relaxed)
# Energy of formation from the pure elements (eV per formula unit): -17.26
# E_tot (eV/atom): -7.76
data_PuMoBrO5
_chemical_formula_sum 'Pu4 Mo4 Br4 O20'
_symmetry_space_group_name_H-M 'P 1 21/c 1'
_symmetry_Int_Tables_number 14
_cell_length_a 11.811
_cell_length_b 7.355
_cell_length_c 7.383
_cell_angle_alpha 90.00
_cell_angle_beta 104.13
_cell_angle_gamma 90.00
loop_
_symmetry_equiv_pos_as_xyz
'x,y,z'
'-x,-y,-z'
'-x,y+1/2,-z+1/2'
'x,-y+1/2,z+1/2'
loop_
_atom_site_label
_atom_site_type_symbol
_atom_site_fract_x
_atom_site_fract_y
_atom_site_fract_z
Pu1 Pu 0.236 0.083 0.387
Mo1 Mo 0.114 0.569 0.305
Br1 Br 0.380 0.118 0.115
O1 O 0.038 0.109 0.319
O2 O 0.121 0.035 0.020
O3 O 0.182 0.711 0.842
O4 O 0.185 0.088 0.676
O5 O 0.373 0.518 0.007